No. 1
DFT (PBE) results for an optimized crystal structure of Ba2MgOsO6.

Symmetry   Fm-3m (225)
ΔE_f   -26.03 eV per formula unit

POSCAR file:
```
Ba2MgOsO6
1.0
0.000 4.087 4.087
4.087 0.000 4.087
4.087 4.087 0.000
Ba Mg Os O
2 1 1 6
Cartesian
2.044 2.044 2.044
6.131 6.131 6.131
0.000 0.000 0.000
4.087 4.087 4.087
4.087 4.087 2.131
4.087 2.131 4.087
6.044 4.087 4.087
2.131 4.087 4.087
4.087 6.044 4.087
4.087 4.087 6.044
```

=====

No. 2
DFT (PBE) results for an optimized crystal structure of Ba2MgP2O8.

Symmetry   P2_1/c (14)
ΔE_f   -42.03 eV per formula unit

POSCAR file:
```
Ba2MgP2O8
1.0
5.395 0.000 0.000
0.000 8.965 0.000
-5.247 0.000 16.339
Ba Mg P O
8 4 8 32
Cartesian
-1.291 1.413 4.434
-3.915 3.070 12.604
-4.165 6.311 16.017
-1.541 7.136 7.847
1.689 1.828 8.492
4.313 2.654 0.322
4.063 5.895 3.735
1.439 7.552 11.905
1.492 0.147 2.188
-1.132 4.336 10.357
1.280 4.629 5.982
-1.344 8.818 14.151
-3.836 0.791 15.073
-1.212 3.692 6.903
-1.250 0.973 10.893
1.373 3.509 2.723
-1.225 5.455 13.616
1.398 7.992 5.446
1.360 5.273 9.436
3.983 8.174 1.266
-2.726 5.699 10.182
-0.102 7.748 2.013
1.158 0.764 0.245
-1.465 3.718 8.414
-1.814 0.239 9.637
0.810 4.243 1.468
-0.754 5.071 6.329
-3.377 8.376 14.499
-2.785 5.459 13.635
-0.161 7.988 5.466
0.813 2.044 2.740
-1.811 2.438 10.910
-2.689 1.782 14.721
-0.065 2.700 6.552
-1.766 0.245 12.173
0.857 4.237 4.003
-0.709 4.727 12.336
1.914 8.720 4.166
0.213 6.265 9.787
2.837 7.182 1.618
1.958 6.527 5.429
-0.665 6.920 13.599
0.309 0.977 10.873
2.933 3.505 2.704
3.525 0.589 1.840
0.901 3.894 10.010
-0.662 4.722 14.871
1.962 8.725 6.702
1.613 5.247 7.925
-1.010 8.200 16.094
0.250 1.216 14.326
2.874 3.266 6.157
```

=====

No. 3
DFT (PBE) results for an optimized crystal structure of Ba6MgP6O21.

Symmetry   Pm (6)
Relative energy among the computed polymorphs   11 meV per atom
ΔE_f   -102.86 eV per formula unit

POSCAR file:
```
Ba6MgP6O21
1.0
9.316 0.000 0.000
0.000 7.292 0.000
-3.655 0.000 9.026
Ba Mg P O
6 1 6 21
Cartesian
0.000 0.000 0.000
-1.030 3.646 2.779
-0.688 3.646 8.676
1.503 0.000 6.511
5.484 0.000 2.818
4.775 3.646 6.331
1.364 3.646 5.288
-1.736 1.569 5.914
-1.736 5.722 5.914
1.860 1.552 2.632
1.860 5.740 2.632
2.880 2.057 8.982
2.880 5.234 8.982
-2.642 1.717 7.146
-2.642 5.575 7.146
-1.270 0.000 5.790
1.348 2.084 1.276
1.348 5.207 1.276
-0.383 2.246 6.145
-0.383 5.046 6.145
1.299 0.000 2.634
1.071 2.182 3.792
1.071 5.109 3.792
3.366 1.550 2.799
3.366 5.742 2.799
1.376 1.847 8.896
1.376 5.444 8.896
3.650 1.491 7.781
3.650 5.801 7.781
3.296 3.646 8.979
7.142 1.580 1.294
7.142 5.712 1.294
6.841 1.935 4.615
6.841 5.357 4.615
```

=====

No. 4
DFT (PBE) results for an optimized crystal structure of Ba6MgP6O21.

Symmetry   Amm2 (38)
Relative energy among the computed polymorphs   0 meV per atom
ΔE_f   -103.23 eV per formula unit

POSCAR file:
```
Ba6MgP6O21
1.0
7.255 0.000 0.000
0.000 8.564 4.683
0.000 -8.564 4.683
Ba Mg P O
6 1 6 21
Cartesian
0.000 0.000 0.000
0.000 -2.689 3.895
0.000 2.689 3.895
3.628 -5.241 5.679
3.628 0.000 6.678
3.628 5.241 5.679
0.000 0.000 5.831
1.585 -2.907 7.518
1.585 2.907 7.518
2.074 0.000 2.888
5.181 0.000 2.888
5.670 -2.907 7.518
5.670 2.907 7.518
0.000 -5.518 3.270
0.000 5.518 3.270
1.384 0.000 4.270
1.729 -2.791 6.003
1.729 2.791 6.003
1.783 -1.282 2.097
1.783 1.282 2.097
2.107 -1.711 8.323
2.107 1.711 8.323
2.147 -4.322 3.350
2.147 4.322 3.350
3.628 0.000 3.354
5.108 -4.322 3.350
5.108 4.322 3.350
5.148 -1.711 8.323
5.148 1.711 8.323
5.473 -1.282 2.097
5.473 1.282 2.097
5.527 -2.791 6.003
5.527 2.791 6.003
5.871 0.000 4.270
```